# PBE+U Ca8Mg5Fe2Si16O48, optimized geometry
data_Ca8Mg5Fe2Si16O48
_space_group_name_H-M_alt 'C 1 2 1'
_space_group_IT_number 5
_space_group_name_Hall 'C 2y'
_cell_length_a 12.3333
_cell_length_b 9.0612
_cell_length_c 16.4179
_cell_angle_alpha 90.00
_cell_angle_beta 94.01
_cell_angle_gamma 90.00
loop_
_atom_site_label
_atom_site_type_symbol
_atom_site_fract_x
_atom_site_fract_y
_atom_site_fract_z
_atom_site_occupancy
Ca1 Ca 0.0000 0.0000 0.0000 1
Ca2 Ca 0.0000 0.4924 0.5000 1
Ca3 Ca 0.1125 0.4105 0.8886 1
Ca4 Ca 0.1269 0.8937 0.3766 1
Ca5 Ca 0.2457 0.4920 0.2440 1
Mg1 Mg 0.0000 0.1012 0.5000 1
Mg2 Mg 0.1256 0.2862 0.3746 1
Mg3 Mg 0.2459 0.5971 0.7498 1
Fe1 Fe 0.1188 0.7854 0.8803 1
Si1 Si 0.0138 0.0984 0.7734 1
Si2 Si 0.0164 0.6038 0.2726 1
Si3 Si 0.1122 0.7882 0.6031 1
Si4 Si 0.1166 0.2813 0.1039 1
Si5 Si 0.1373 0.2852 0.6480 1
Si6 Si 0.1435 0.7936 0.1498 1
Si7 Si 0.2366 0.6007 0.4776 1
Si8 Si 0.2381 0.1051 0.9757 1
O1 O 0.0130 0.6793 0.6383 1
O2 O 0.0165 0.1701 0.1365 1
O3 O 0.0300 0.2806 0.5849 1
O4 O 0.0320 0.8063 0.0914 1
O5 O 0.0511 0.9428 0.5863 1
O6 O 0.0666 0.4417 0.0956 1
O7 O 0.0742 0.4471 0.2893 1
O8 O 0.0781 0.9437 0.7907 1
O9 O 0.0891 0.6119 0.7928 1
O10 O 0.0942 0.1007 0.2889 1
O11 O 0.1116 0.2050 0.7369 1
O12 O 0.1153 0.7146 0.2391 1
O13 O 0.1358 0.2093 0.0106 1
O14 O 0.1379 0.7098 0.5133 1
O15 O 0.1563 0.1058 0.4592 1
O16 O 0.1610 0.6202 0.9572 1
O17 O 0.1764 0.4452 0.4613 1
O18 O 0.1791 0.9456 0.9601 1
O19 O 0.1961 0.4419 0.6639 1
O20 O 0.2108 0.9433 0.1640 1
O21 O 0.2192 0.7820 0.6664 1
O22 O 0.2269 0.2704 0.1648 1
O23 O 0.2363 0.6777 0.1136 1
O24 O 0.2371 0.1793 0.6116 1
# ΔE_f = -311.7 kJ per mole of atoms
# V = 11.58 Å³ per atom
# crystal system = monoclinic